a) Li3Mn3TeO8 | PBE with a Hubbard U | relaxed

```
Li3Mn3TeO8
1.0
-4.533 -3.358 2.420
1.870 -4.936 -3.369
5.587 -2.264 6.425
O Li Mn Te
16 6 6 2
Cartesian
-0.165 -5.112 7.415
2.044 -3.409 2.918
2.684 -5.795 4.164
2.868 -5.611 1.409
-0.740 -2.361 3.040
0.242 -4.769 1.307
2.460 -5.955 7.516
1.801 -3.280 5.791
3.506 -8.688 5.656
0.888 -7.147 2.567
1.222 -0.516 1.427
0.046 -4.942 4.062
-2.325 -6.294 2.104
-0.575 -1.867 -0.169
0.454 -4.597 -2.045
5.255 -4.281 3.357
-0.399 -6.602 -2.146
1.664 -5.095 -0.315
3.722 -3.586 1.536
2.188 -7.913 4.119
1.255 -5.440 5.792
0.727 -2.634 1.380
4.452 -6.245 2.869
1.988 -8.087 7.161
3.543 -3.792 4.592
-0.583 -6.807 0.905
-1.544 -4.324 2.553
2.396 -7.744 1.054
2.922 -10.552 5.479
1.461 -5.274 2.742
```

Output
The calculation puts the density at 4.33 g/cm³.


b) Li3Mn3TeO8 | PBE with a Hubbard U | relaxed

```
Li3Mn3TeO8
1.0
5.282 -1.753 2.570
7.159 -1.203 -8.081
3.481 4.339 2.572
O Te Mn Li
16 2 6 6
Cartesian
11.408 1.496 -0.761
3.799 0.942 0.521
6.899 0.585 -3.423
5.065 3.362 1.992
10.862 -1.973 -4.843
9.835 1.454 -4.932
7.980 -0.932 -6.332
9.019 0.792 0.394
9.781 -0.457 -1.935
12.218 0.114 -3.460
4.540 -0.118 -2.090
7.921 2.364 3.393
9.026 2.835 -2.233
6.061 -0.067 1.905
6.802 -1.125 -0.706
6.161 1.790 -1.006
5.324 1.561 -2.755
12.437 -2.949 -5.512
5.300 -0.093 -0.091
6.241 0.182 -5.419
10.623 1.475 -2.848
9.728 2.843 -0.193
11.516 0.108 -5.501
9.682 1.201 2.479
7.981 2.351 -4.131
14.018 -0.670 -4.108
7.889 0.515 -1.336
7.941 -0.968 1.194
2.713 -0.700 1.154
7.226 3.618 -1.586
```

Output
The calculation puts the density at 4.30 g/cm³.


c) Li3Mn3TeO8 | PBE with a Hubbard U | relaxed

```
Li3Mn3TeO8
1.0
-5.299 -2.820 -1.947
-3.095 -3.910 3.866
-2.511 9.823 2.789
O Li Mn Te
16 6 6 2
Cartesian
-4.832 3.401 2.464
-4.713 1.411 0.544
-6.105 6.390 1.586
-3.131 7.968 2.679
-3.748 0.933 3.098
-7.774 -4.875 2.030
-6.039 -2.683 -0.137
-6.073 -0.308 2.244
-3.315 -1.486 0.991
-4.866 5.777 4.846
-6.192 1.683 4.164
-4.800 -3.296 3.123
-7.157 2.160 1.610
-7.590 4.580 3.718
-8.767 0.060 3.345
-2.138 3.033 1.364
-6.631 4.275 1.598
-2.726 0.773 1.177
-8.179 2.320 3.531
-5.376 -0.637 0.204
-4.274 -1.182 3.110
-5.529 3.730 4.505
-3.905 3.502 0.421
-2.803 2.957 3.328
-5.745 -5.319 2.893
-4.350 1.002 5.261
-4.197 -3.365 0.960
-6.847 -4.775 -0.014
-5.452 1.547 2.354
-10.905 3.094 4.708
```

Output
The calculation puts the density at 4.31 g/cm³.


Quick one: least stable of them? c)


a) Li2Mn3TeO8 | PBE with a Hubbard U | relaxed

```
Li2Mn3TeO8
1.0
-5.905 -1.319 -1.522
-3.461 -3.878 3.453
-4.785 2.082 3.420
Te Mn O Li
1 3 8 2
Cartesian
-7.076 -1.557 2.675
-9.469 -0.516 4.385
-10.029 -2.217 1.914
-5.345 0.382 0.949
-6.028 0.080 3.002
-8.718 -0.521 2.334
-5.434 -2.594 3.016
-3.869 -0.852 1.463
-7.622 -1.669 4.566
-6.530 -1.446 0.785
-10.283 -2.263 3.888
-8.124 -3.195 2.349
-1.977 -0.435 0.747
-12.175 -2.680 4.603
```

Output
The calculation puts the density at 4.34 g/cm³.


b) Li2Mn3TeO8 | PBE with a Hubbard U | relaxed

```
Li2Mn3TeO8
1.0
4.122 -2.879 3.507
-5.895 0.271 1.653
-1.133 -10.658 -2.009
Li Mn O Te
4 6 16 2
Cartesian
-2.203 -4.485 4.171
-3.140 -3.311 0.820
-0.705 -8.781 -1.019
0.234 -9.955 2.331
-4.400 -6.499 2.402
-0.886 -1.304 2.580
-4.082 -10.523 -1.181
-3.832 -1.170 3.407
-1.454 -6.634 1.576
-2.339 -7.937 4.156
0.129 -2.189 0.960
-0.736 -3.377 3.231
-2.171 -9.889 -0.079
1.733 -8.889 1.368
-2.434 -6.254 3.200
-3.035 -11.077 2.191
-1.414 -4.559 0.702
-4.818 -9.747 0.543
0.278 -5.860 2.394
-4.640 -4.377 1.783
-1.493 -8.707 2.450
-0.473 -7.011 -0.048
-0.300 -11.712 1.428
-3.186 -7.405 0.758
1.910 -3.520 2.608
-2.605 -1.554 1.723
0.241 -4.022 1.664
-3.149 -9.244 1.487
```

Output
The calculation puts the density at 4.35 g/cm³.


Quick one: least stable of them? a)


a) Li2TiMn2O6 | PBE with a Hubbard U | relaxed

```
Li2TiMn2O6
1.0
-8.152 -1.374 6.201
-3.637 -5.441 -5.988
1.862 -8.874 0.482
O Li Mn Ti
36 12 12 6
Cartesian
-9.942 -6.485 0.963
-7.507 -9.868 -1.558
-6.424 -7.913 0.305
-7.603 -10.402 3.229
-6.948 -12.705 -1.646
-3.799 -6.959 -4.764
-0.476 -6.225 -0.455
-6.889 -5.577 5.037
-3.038 -10.112 -4.342
-1.790 -8.653 2.637
-1.949 -8.156 -2.484
-2.316 -13.023 -4.093
-9.451 -9.464 1.149
-8.782 -4.731 2.925
-4.221 -12.332 -1.424
-5.024 -6.304 2.160
-6.129 -8.730 5.459
-7.611 -2.666 4.788
-1.146 -10.958 -2.231
-3.504 -7.777 0.389
-4.555 -9.126 2.418
-7.094 -4.993 0.017
-5.706 -3.357 2.118
-4.378 -4.643 0.054
0.014 -9.204 -0.268
-4.903 -9.385 -1.465
-5.372 -6.563 -1.723
-2.979 -2.984 2.341
-5.549 -11.046 0.640
-8.729 -12.244 1.216
-2.833 -10.697 0.678
-1.198 -3.445 -0.521
-2.324 -5.287 -2.535
-2.421 -5.822 2.253
-8.137 -7.036 -1.942
-7.978 -7.533 3.178
-4.053 -12.501 -3.441
-8.516 -10.783 -0.185
-8.026 -5.965 1.396
-5.794 -10.860 2.596
-3.687 -7.704 -1.766
-6.240 -7.986 2.461
-1.412 -4.906 0.880
-2.033 -2.061 0.879
-4.133 -4.829 -1.901
-5.874 -3.188 4.136
-1.901 -9.724 -0.701
-7.894 -13.628 -0.184
-5.316 -14.069 -1.408
-10.492 -12.746 0.557
-4.611 -1.620 2.103
-2.436 -3.667 -3.929
-4.051 -4.592 2.232
0.565 -2.943 0.137
-4.642 -9.346 0.485
-5.876 -11.098 -1.537
-5.285 -6.343 0.210
-1.828 -6.631 -3.837
-7.491 -12.022 4.623
-8.099 -9.059 4.532
-5.895 -3.408 0.106
0.000 0.000 0.000
-6.554 -8.195 -1.590
-8.592 -6.125 4.338
-1.335 -9.565 -3.643
-3.373 -7.494 2.284
```

Output
The calculation puts the density at 3.65 g/cm³.


b) Li2TiMn2O6 | PBE with a Hubbard U | relaxed

```
Li2TiMn2O6
1.0
-1.502 -1.114 -4.775
4.878 -1.107 1.132
-2.843 -9.376 3.082
O Mn Ti Li
12 4 2 4
Cartesian
1.631 -5.680 -1.755
1.452 -7.110 0.626
0.851 -1.577 -0.918
-2.528 -9.718 -1.471
-0.727 -7.113 -1.392
1.259 -4.484 0.831
1.673 -9.714 2.418
-1.099 -5.916 1.194
-0.319 -10.020 0.357
-0.920 -4.487 -1.186
-1.141 -1.883 -2.979
3.060 -1.878 0.911
0.638 -1.112 -2.793
-0.107 -10.485 2.232
-1.875 -5.801 -2.262
2.407 -5.796 1.702
-4.345 -10.490 -1.693
0.266 -5.798 -0.280
-2.541 -7.814 -0.445
3.073 -3.783 -0.115
-0.117 -3.786 -3.069
0.649 -7.810 2.508
```

Output
The calculation puts the density at 3.66 g/cm³.


Quick one: least stable of them? a)


a) Li3TiMn3O8 | PBE with a Hubbard U | relaxed

```
Li3TiMn3O8
1.0
3.533 4.052 2.722
6.954 -4.177 -2.640
-0.081 2.984 -5.258
O Li Mn Ti
16 6 6 2
Cartesian
9.649 -0.212 -1.707
6.041 1.517 -0.794
5.916 3.177 -3.062
5.349 -0.124 -7.149
3.646 1.007 0.577
0.757 3.070 -3.469
5.323 -1.610 -4.743
5.057 2.984 1.974
2.732 5.290 -2.066
6.760 1.852 -5.752
6.727 0.364 -3.338
5.083 4.469 -0.432
4.490 -0.318 -2.114
3.679 2.495 -1.838
7.674 -2.430 -3.110
4.365 1.342 -4.381
2.560 2.212 -3.922
7.807 2.141 -3.885
3.436 -0.596 -3.949
8.640 0.833 -6.537
2.599 0.718 -1.291
7.846 0.647 -1.253
6.913 -2.684 -5.268
6.083 -1.376 -2.619
4.376 2.732 0.070
4.325 4.236 -2.557
5.244 -0.062 0.040
6.030 0.127 -5.245
10.406 2.859 -5.176
5.203 1.430 -2.588
```

Output
The calculation puts the density at 3.87 g/cm³.


b) Li3TiMn3O8 | PBE with a Hubbard U | relaxed

```
Li3TiMn3O8
1.0
-3.249 3.950 -2.955
-2.694 -5.177 1.816
-2.422 7.129 12.583
Mn O Li Ti
9 24 9 3
Cartesian
-2.558 0.976 7.200
-1.845 0.120 2.212
-2.971 -0.613 -0.570
-4.416 1.146 9.438
-4.812 -0.507 1.640
-2.835 5.540 4.814
-3.553 6.409 9.805
-6.520 5.782 9.232
-3.949 4.756 2.006
-5.194 7.364 10.261
-2.127 -0.737 3.957
-6.761 4.920 10.974
-6.443 0.461 2.072
-3.171 -1.462 1.183
-2.969 4.734 6.599
-1.922 5.442 9.372
-3.474 1.131 2.727
-4.177 3.964 3.740
-4.465 6.535 5.238
-3.617 5.732 11.667
-5.396 1.168 4.845
-1.604 0.982 0.470
-4.896 2.821 12.676
-3.523 7.061 7.942
-3.469 3.081 -1.231
-2.442 1.658 5.337
-4.842 -1.159 3.502
-5.923 4.244 6.107
-4.891 4.772 8.717
-4.188 1.938 7.704
-6.238 6.639 7.487
-4.748 0.171 -0.222
-3.900 -0.633 6.206
-5.165 8.358 8.304
-1.347 -2.589 0.908
-5.263 2.237 2.911
-3.102 3.665 8.533
-3.200 -2.456 3.140
-2.393 2.840 3.529
-1.624 1.975 -1.478
-5.972 3.062 7.915
-1.211 3.564 6.292
0.000 0.000 0.000
-4.682 5.572 7.010
-3.683 0.330 4.434
```

Output
The calculation puts the density at 3.88 g/cm³.


Quick one: least stable of them? a)


a) Li3TiMn2O6 | PBE with a Hubbard U | relaxed

```
Li3TiMn2O6
1.0
-0.003 -3.048 5.026
-3.416 -4.144 -2.555
6.389 -1.602 -2.716
O Li Mn Ti
12 6 4 2
Cartesian
3.832 -6.952 -0.851
0.216 -3.131 -1.924
2.637 -4.090 -0.766
-0.601 -3.483 3.023
1.195 -7.552 0.524
1.820 -2.823 1.704
3.831 -5.426 -3.364
0.215 -4.654 0.588
-0.600 -1.957 0.510
1.822 -1.300 -0.809
1.199 -6.029 -1.989
2.635 -5.614 1.745
-0.760 -4.962 -1.335
3.576 -2.185 -1.351
-1.679 -3.702 1.161
-0.762 -6.487 1.179
-1.680 -2.177 -1.353
3.570 -3.708 1.160
2.968 -8.706 -0.211
2.028 -4.354 -2.667
2.973 -7.184 -2.724
2.026 -5.879 -0.154
0.884 -4.424 2.458
0.885 -2.899 -0.055
```

Output
The calculation puts the density at 3.82 g/cm³.


b) Li3TiMn2O6 | PBE with a Hubbard U | relaxed

```
Li3TiMn2O6
1.0
0.000 -1.548 2.531
-3.431 -4.146 -2.536
6.313 -3.078 -0.143
O Mn Li Ti
6 2 3 1
Cartesian
0.146 -4.600 0.665
-0.623 -1.867 0.597
1.073 -6.062 -1.969
1.774 -2.795 1.769
2.544 -3.976 -0.693
-2.583 -3.935 -0.667
1.922 -5.892 -0.126
2.880 -7.180 -2.652
-0.753 -4.997 -1.317
-1.660 -3.683 1.226
3.582 -3.712 1.208
0.964 -2.925 -0.050
```

Output
The calculation puts the density at 3.85 g/cm³.


c) Li3TiMn2O6 | PBE with a Hubbard U | relaxed

```
Li3TiMn2O6
1.0
-3.882 4.315 -1.139
4.757 -0.897 -4.448
-5.664 -3.675 -2.421
O Li Mn Ti
12 6 4 2
Cartesian
-4.587 0.727 -4.276
-1.603 -0.902 -6.297
0.041 -0.847 -3.481
-0.546 1.257 -1.633
-1.887 1.303 -4.094
-2.770 -1.294 -3.719
-5.175 2.833 -2.427
-3.249 0.683 -1.815
-2.365 3.282 -2.190
0.479 -3.178 -5.670
-4.442 -1.688 -6.485
3.024 -0.051 -3.549
-6.461 1.426 -3.266
1.327 0.561 -2.640
1.756 -1.609 -4.605
-0.184 0.549 -5.173
-0.613 2.665 -3.189
-4.522 -0.677 -2.718
-1.312 -2.409 -4.826
-0.847 -4.492 -6.813
-3.140 -0.163 -5.359
2.763 1.250 -4.997
-3.527 2.080 -3.251
-1.608 -0.097 -2.659
```

Output
The calculation puts the density at 3.81 g/cm³.


Quick one: least stable of them? b)